Entry 1:
# RbH

A relaxed RbH crystal (GGA-PBE, Materials Project).

```
data_RbH
_chemical_formula_sum 'Rb4 H4'
_space_group_name_H-M_alt 'F m -3 m'
_space_group_IT_number 225
_space_group_name_Hall '-F 4 2 3'
_cell_length_a 6.037
_cell_length_b 6.037
_cell_length_c 6.037
_cell_angle_alpha 90.00
_cell_angle_beta 90.00
_cell_angle_gamma 90.00
loop_
_atom_site_label
_atom_site_type_symbol
_atom_site_fract_x
_atom_site_fract_y
_atom_site_fract_z
Rb1 Rb 0.000 0.000 0.000
H1 H 0.000 0.000 0.500
```

- theoretical density (g/cm3) = 2.6

Entry 2:
# Sr2CaTlCu2O7

A relaxed Sr2CaTlCu2O7 crystal (GGA-PBE, Materials Project).

```
data_Sr2CaTlCu2O7
_chemical_formula_sum 'Sr2 Ca1 Tl1 Cu2 O7'
_space_group_name_H-M_alt 'P 4/m m m'
_space_group_IT_number 123
_space_group_name_Hall '-P 4 2'
_cell_length_a 3.782
_cell_length_b 3.782
_cell_length_c 12.291
_cell_angle_alpha 90.00
_cell_angle_beta 90.00
_cell_angle_gamma 90.00
loop_
_atom_site_label
_atom_site_type_symbol
_atom_site_fract_x
_atom_site_fract_y
_atom_site_fract_z
Sr1 Sr 0.000 0.000 0.209
Ca1 Ca 0.000 0.000 0.500
Tl1 Tl 0.500 0.500 0.000
Cu1 Cu 0.500 0.500 0.357
O1 O 0.000 0.000 0.000
O2 O 0.000 0.500 0.372
O3 O 0.500 0.500 0.172
```

- theoretical density (g/cm3) = 6.2
- size of the total moment (μB/atom) = 0.003

Entry 3:
# PO4

A relaxed PO4 crystal (GGA-PBE, Materials Project).

```
data_PO4
_chemical_formula_sum 'P8 O32'
_space_group_name_H-M_alt 'P c c n'
_space_group_IT_number 56
_cell_length_a 7.626
_cell_length_b 11.123
_cell_length_c 10.101
_cell_angle_alpha 90.00
_cell_angle_beta 90.00
_cell_angle_gamma 90.00
loop_
_space_group_symop_operation_xyz
'x,y,z'
'-x,-y,-z'
'-x+1/2,-y+1/2,z'
'x+1/2,y+1/2,-z'
'x+1/2,-y,-z+1/2'
'-x+1/2,y,z+1/2'
'-x,y+1/2,-z+1/2'
'x,-y+1/2,z+1/2'
loop_
_atom_site_label
_atom_site_type_symbol
_atom_site_fract_x
_atom_site_fract_y
_atom_site_fract_z
P1 P 0.025 0.238 0.171
O1 O 0.012 0.193 0.544
O2 O 0.017 0.194 0.798
O3 O 0.049 0.105 0.170
O4 O 0.246 0.521 0.908
```

- energy above the most stable polymorph in this dataset (meV/atom) = 443
- theoretical density (g/cm3) = 1.5
- size of the total moment (μB/atom) = 0.600

Entry 4:
# Sm14Au51

A relaxed Sm14Au51 crystal (GGA-PBE, Materials Project).

```
data_Sm14Au51
_chemical_formula_sum 'Sm14 Au51'
_space_group_name_H-M_alt 'P -6'
_space_group_IT_number 174
_cell_length_a 12.9282
_cell_length_b 12.9282
_cell_length_c 9.3572
_cell_angle_alpha 90.00
_cell_angle_beta 90.00
_cell_angle_gamma 120.00
loop_
_space_group_symop_operation_xyz
'x,y,z'
'-x+y,-x,-z'
'-y,x-y,z'
'x,y,-z'
'-x+y,-x,z'
'-y,x-y,-z'
loop_
_atom_site_label
_atom_site_type_symbol
_atom_site_fract_x
_atom_site_fract_y
_atom_site_fract_z
Sm1 Sm 0.0000 0.0000 0.2020
Sm2 Sm 0.1142 0.3847 0.5000
Sm3 Sm 0.1416 0.6757 0.0000
Sm4 Sm 0.4007 0.2821 0.5000
Sm5 Sm 0.4642 0.1404 0.0000
Au1 Au 0.0603 0.2371 0.0000
Au2 Au 0.0767 0.8053 0.2640
Au3 Au 0.1048 0.4416 0.1639
Au4 Au 0.1163 0.6189 0.3495
Au5 Au 0.1384 0.1129 0.5000
Au6 Au 0.2391 0.1773 0.0000
Au7 Au 0.2650 0.0720 0.2718
Au8 Au 0.3333 0.6667 0.1906
Au9 Au 0.3333 0.6667 0.5000
Au10 Au 0.4433 0.3390 0.1627
Au11 Au 0.4933 0.1155 0.3474
Au12 Au 0.6667 0.3333 0.1904
Au13 Au 0.6667 0.3333 0.5000
```

- theoretical density (g/cm3) = 14.9
- size of the total moment (μB/atom) = 0.000

Entry 5:
# Er2Si3Pd

A relaxed Er2Si3Pd crystal (GGA-PBE, Materials Project).

```
data_Er2Si3Pd
_chemical_formula_sum 'Er8 Si12 Pd4'
_space_group_name_H-M_alt 'P 63/m m c'
_space_group_IT_number 194
_space_group_name_Hall '-P 6c 2c'
_cell_length_a 8.1880
_cell_length_b 8.1880
_cell_length_c 7.7853
_cell_angle_alpha 90.00
_cell_angle_beta 90.00
_cell_angle_gamma 120.00
loop_
_atom_site_label
_atom_site_type_symbol
_atom_site_fract_x
_atom_site_fract_y
_atom_site_fract_z
Er1 Er 0.0000 0.0000 0.2500
Er2 Er 0.0238 0.5119 0.2500
Si1 Si 0.1655 0.3311 0.5018
Pd1 Pd 0.3333 0.6667 0.5434
```

- theoretical density (g/cm3) = 7.7
- size of the total moment (μB/atom) = 0.000

Entry 6:
# Mg2B2O5

A relaxed Mg2B2O5 crystal (GGA-PBE, Materials Project).

```
data_Mg2B2O5
_chemical_formula_sum 'Mg4 B4 O10'
_space_group_name_H-M_alt 'P -1'
_space_group_IT_number 2
_cell_length_a 3.160
_cell_length_b 6.218
_cell_length_c 9.313
_cell_angle_alpha 104.58
_cell_angle_beta 90.60
_cell_angle_gamma 91.89
loop_
_space_group_symop_operation_xyz
'x,y,z'
'-x,-y,-z'
loop_
_atom_site_label
_atom_site_type_symbol
_atom_site_fract_x
_atom_site_fract_y
_atom_site_fract_z
Mg1 Mg 0.233 0.210 0.356
Mg2 Mg 0.266 0.628 0.897
B1 B 0.163 0.121 0.831
B2 B 0.199 0.681 0.356
O1 O 0.066 0.861 0.299
O2 O 0.236 0.304 0.947
O3 O 0.241 0.477 0.258
O4 O 0.268 0.725 0.504
O5 O 0.274 0.907 0.819
```

- theoretical density (g/cm3) = 2.8

Entry 7:
# HfCoGe

A relaxed HfCoGe crystal (GGA-PBE, Materials Project).

```
data_HfCoGe
_chemical_formula_sum 'Hf4 Co4 Ge4'
_space_group_name_H-M_alt 'P n m a'
_space_group_IT_number 62
_cell_length_a 6.527
_cell_length_b 3.908
_cell_length_c 7.243
_cell_angle_alpha 90.00
_cell_angle_beta 90.00
_cell_angle_gamma 90.00
loop_
_space_group_symop_operation_xyz
'x,y,z'
'-x,-y,-z'
'-x+1/2,-y,z+1/2'
'x+1/2,y,-z+1/2'
'x+1/2,-y+1/2,-z+1/2'
'-x+1/2,y+1/2,z+1/2'
'-x,y+1/2,-z'
'x,-y+1/2,z'
loop_
_atom_site_label
_atom_site_type_symbol
_atom_site_fract_x
_atom_site_fract_y
_atom_site_fract_z
Hf1 Hf 0.011 0.250 0.198
Co1 Co 0.141 0.250 0.571
Ge1 Ge 0.228 0.750 0.393
```

- theoretical density (g/cm3) = 11.1

Entry 8:
# Na11La7Th2Ti20O60

A relaxed Na11La7Th2Ti20O60 crystal (GGA-PBE, Materials Project).

```
data_Na11La7Th2Ti20O60
_chemical_formula_sum 'Na11 La7 Th2 Ti20 O60'
_space_group_name_H-M_alt 'P 1'
_space_group_IT_number 1
_cell_length_a 5.508
_cell_length_b 5.509
_cell_length_c 38.842
_cell_angle_alpha 89.94
_cell_angle_beta 89.98
_cell_angle_gamma 89.79
loop_
_space_group_symop_operation_xyz
'x,y,z'
loop_
_atom_site_label
_atom_site_type_symbol
_atom_site_fract_x
_atom_site_fract_y
_atom_site_fract_z
Na1 Na 0.000 0.000 0.000
Na2 Na 0.000 0.000 0.200
Na3 Na 0.005 0.000 0.402
Na4 Na 0.008 0.000 0.599
Na5 Na 0.008 0.998 0.805
Na6 Na 0.488 0.500 0.100
Na7 Na 0.489 0.499 0.300
Na8 Na 0.495 0.502 0.899
Na9 Na 0.496 0.499 0.505
Na10 Na 0.507 0.487 0.597
Na11 Na 0.508 0.489 0.807
La1 La 0.500 0.487 0.000
La2 La 0.501 0.487 0.200
La3 La 0.985 0.987 0.300
La4 La 0.987 0.987 0.100
La5 La 0.989 0.992 0.701
La6 La 0.994 0.989 0.504
La7 La 0.995 0.987 0.900
Th1 Th 0.484 0.492 0.701
Th2 Th 0.519 0.488 0.402
Ti1 Ti 0.002 0.501 0.351
Ti2 Ti 0.005 0.498 0.452
Ti3 Ti 0.006 0.496 0.553
Ti4 Ti 0.010 0.493 0.850
Ti5 Ti 0.492 0.999 0.050
Ti6 Ti 0.492 0.999 0.250
Ti7 Ti 0.493 0.992 0.756
Ti8 Ti 0.494 0.003 0.150
Ti9 Ti 0.495 0.993 0.647
Ti10 Ti 0.497 0.999 0.350
Ti11 Ti 0.499 0.001 0.950
Ti12 Ti 0.501 0.995 0.453
Ti13 Ti 0.506 0.997 0.553
Ti14 Ti 0.510 0.998 0.850
Ti15 Ti 0.991 0.489 0.755
Ti16 Ti 0.993 0.503 0.050
Ti17 Ti 0.994 0.502 0.250
Ti18 Ti 0.995 0.488 0.648
Ti19 Ti 0.996 0.499 0.150
Ti20 Ti 0.998 0.499 0.950
O1 O 0.001 0.423 0.701
O2 O 0.232 0.743 0.543
O3 O 0.232 0.746 0.859
O4 O 0.232 0.752 0.344
O5 O 0.234 0.750 0.458
O6 O 0.236 0.745 0.260
O7 O 0.236 0.746 0.060
O8 O 0.237 0.239 0.557
O9 O 0.237 0.743 0.944
O10 O 0.237 0.745 0.144
O11 O 0.238 0.242 0.845
O12 O 0.244 0.741 0.662
O13 O 0.244 0.741 0.740
O14 O 0.248 0.246 0.960
O15 O 0.249 0.245 0.244
O16 O 0.249 0.246 0.044
O17 O 0.251 0.246 0.160
O18 O 0.253 0.252 0.646
O19 O 0.253 0.252 0.756
O20 O 0.256 0.260 0.441
O21 O 0.258 0.260 0.362
O22 O 0.482 0.914 0.602
O23 O 0.482 0.915 0.801
O24 O 0.487 0.075 0.701
O25 O 0.488 0.062 0.500
O26 O 0.488 0.900 0.401
O27 O 0.489 0.062 0.902
O28 O 0.490 0.917 0.002
O29 O 0.491 0.915 0.202
O30 O 0.495 0.062 0.302
O31 O 0.497 0.060 0.102
O32 O 0.732 0.732 0.662
O33 O 0.732 0.732 0.740
O34 O 0.734 0.738 0.458
O35 O 0.736 0.738 0.344
O36 O 0.739 0.738 0.944
O37 O 0.740 0.736 0.260
O38 O 0.741 0.241 0.361
O39 O 0.741 0.241 0.442
O40 O 0.741 0.736 0.144
O41 O 0.741 0.737 0.060
O42 O 0.741 0.743 0.542
O43 O 0.741 0.745 0.860
O44 O 0.744 0.237 0.959
O45 O 0.746 0.235 0.244
O46 O 0.746 0.236 0.044
O47 O 0.746 0.236 0.160
O48 O 0.748 0.228 0.557
O49 O 0.748 0.230 0.845
O50 O 0.750 0.233 0.755
O51 O 0.752 0.232 0.647
O52 O 0.969 0.565 0.401
O53 O 0.980 0.569 0.800
O54 O 0.981 0.569 0.602
O55 O 0.988 0.561 0.002
O56 O 0.989 0.420 0.500
O57 O 0.989 0.421 0.902
O58 O 0.990 0.559 0.202
O59 O 0.995 0.413 0.303
O60 O 0.996 0.416 0.102
```

- theoretical density (g/cm3) = 5.1
- size of the total moment (μB/atom) = 0.000

Entry 9:
# PrSn6Ru4

A relaxed PrSn6Ru4 crystal (GGA-PBE, Materials Project).

```
data_PrSn6Ru4
_chemical_formula_sum 'Pr2 Sn12 Ru8'
_space_group_name_H-M_alt 'I -4 2 m'
_space_group_IT_number 121
_space_group_name_Hall 'I -4 2'
_cell_length_a 6.955
_cell_length_b 6.955
_cell_length_c 9.895
_cell_angle_alpha 90.00
_cell_angle_beta 90.00
_cell_angle_gamma 90.00
loop_
_atom_site_label
_atom_site_type_symbol
_atom_site_fract_x
_atom_site_fract_y
_atom_site_fract_z
Pr1 Pr 0.000 0.000 0.000
Sn1 Sn 0.000 0.500 0.000
Sn2 Sn 0.176 0.176 0.295
Ru1 Ru 0.172 0.172 0.578
```

- theoretical density (g/cm3) = 8.7

Entry 10:
# BaCaGdSbO6

A relaxed BaCaGdSbO6 crystal (GGA-PBE, Materials Project).

```
data_BaCaGdSbO6
_chemical_formula_sum 'Ba4 Ca4 Gd4 Sb4 O24'
_space_group_name_H-M_alt 'F -4 3 m'
_space_group_IT_number 216
_space_group_name_Hall 'F -4 2 3'
_cell_length_a 8.489
_cell_length_b 8.489
_cell_length_c 8.489
_cell_angle_alpha 90.00
_cell_angle_beta 90.00
_cell_angle_gamma 90.00
loop_
_atom_site_label
_atom_site_type_symbol
_atom_site_fract_x
_atom_site_fract_y
_atom_site_fract_z
Ba1 Ba 0.000 0.000 0.000
Ca1 Ca 0.000 0.000 0.500
Gd1 Gd 0.250 0.250 0.750
Sb1 Sb 0.250 0.250 0.250
O1 O 0.014 0.250 0.250
```

- energy above the most stable polymorph in this dataset (meV/atom) = 63
- theoretical density (g/cm3) = 6.0
- size of the total moment (μB/atom) = 0.700

Entry 11:
# EuP

A relaxed EuP crystal (GGA-PBE, Materials Project).

```
data_EuP
_chemical_formula_sum 'Eu4 P4'
_space_group_name_H-M_alt 'F m -3 m'
_space_group_IT_number 225
_space_group_name_Hall '-F 4 2 3'
_cell_length_a 5.880
_cell_length_b 5.880
_cell_length_c 5.880
_cell_angle_alpha 90.00
_cell_angle_beta 90.00
_cell_angle_gamma 90.00
loop_
_atom_site_label
_atom_site_type_symbol
_atom_site_fract_x
_atom_site_fract_y
_atom_site_fract_z
Eu1 Eu 0.000 0.000 0.000
P1 P 0.000 0.000 0.500
```

- theoretical density (g/cm3) = 6.0

Entry 12:
# LiReO5

A relaxed LiReO5 crystal (GGA-PBE, Materials Project).

```
data_LiReO5
_chemical_formula_sum 'Li4 Re4 O20'
_space_group_name_H-M_alt 'P 1 21/c 1'
_space_group_IT_number 14
_cell_length_a 6.858
_cell_length_b 10.990
_cell_length_c 6.168
_cell_angle_alpha 90.00
_cell_angle_beta 101.95
_cell_angle_gamma 90.00
loop_
_space_group_symop_operation_xyz
'x,y,z'
'-x,-y,-z'
'-x,y+1/2,-z+1/2'
'x,-y+1/2,z+1/2'
loop_
_atom_site_label
_atom_site_type_symbol
_atom_site_fract_x
_atom_site_fract_y
_atom_site_fract_z
Li1 Li 0.121 0.186 0.234
Re1 Re 0.240 0.605 0.007
O1 O 0.052 0.718 0.007
O2 O 0.146 0.015 0.326
O3 O 0.281 0.201 0.968
O4 O 0.319 0.548 0.272
O5 O 0.441 0.671 0.914
```

- theoretical density (g/cm3) = 4.0
- size of the total moment (μB/atom) = 0.286

| no. | ΔH_f (0 K) (eV/atom) | energy (eV per atom) |
| --- | --- | --- |
| 1 | -0.2367 | -2.33 |
| 2 | -2.0456 | -5.57 |
| 3 | -0.8826 | -5.37 |
| 4 | -0.6327 | -4.22 |
| 5 | -0.8742 | -5.97 |
| 6 | -3.0217 | -7.23 |
| 7 | -0.6719 | -7.90 |
| 8 | -3.4188 | -8.19 |
| 9 | -0.3369 | -6.33 |
| 10 | -2.9614 | -7.73 |
| 11 | -1.0390 | -8.87 |
| 12 | -1.6386 | -6.73 |